# LiNbPO5 | Materials Project | GGA-PBE | relaxed
# Formation enthalpy at 0 K = -2.73 eV/atom
# M_tot = 3.139 μB/cell
# MP2020-corrected energy = -0.294 hartree per atom
data_LiNbPO5
_chemical_formula_sum 'Li4 Nb4 P4 O20'
_cell_length_a 5.437
_cell_length_b 7.620
_cell_length_c 10.708
_cell_angle_alpha 70.68
_cell_angle_beta 75.29
_cell_angle_gamma 69.10
_space_group_name_H-M_alt 'P 1'
_space_group_IT_number 1
_space_group_name_Hall 'P 1'
loop_
_atom_site_label
_atom_site_type_symbol
_atom_site_fract_x
_atom_site_fract_y
_atom_site_fract_z
Li1 Li 0.000 0.000 0.000
Li2 Li 0.002 0.495 0.997
Li3 Li 0.500 0.501 0.498
Li4 Li 0.994 0.006 0.501
Nb1 Nb 0.000 0.750 0.749
Nb2 Nb 0.504 0.994 0.998
Nb3 Nb 0.995 0.507 0.501
Nb4 Nb 0.999 0.250 0.249
P1 P 0.371 0.066 0.689
P2 P 0.380 0.556 0.186
P3 P 0.622 0.945 0.313
P4 P 0.626 0.435 0.809
O1 O 0.081 0.673 0.584
O2 O 0.167 0.160 0.081
O3 O 0.205 0.960 0.658
O4 O 0.209 0.459 0.152
O5 O 0.299 0.279 0.603
O6 O 0.305 0.043 0.839
O7 O 0.313 0.543 0.338
O8 O 0.323 0.541 0.840
O9 O 0.323 0.769 0.099
O10 O 0.327 0.029 0.345
O11 O 0.673 0.971 0.655
O12 O 0.681 0.222 0.896
O13 O 0.684 0.451 0.154
O14 O 0.687 0.458 0.659
O15 O 0.700 0.720 0.396
O16 O 0.701 0.945 0.157
O17 O 0.797 0.038 0.340
O18 O 0.799 0.530 0.844
O19 O 0.838 0.828 0.915
O20 O 0.921 0.328 0.415